1.
Computed, not measured: a relaxed Ba3Y crystal at the GGA-PBE level of DFT.

Cell: 5.9120 5.9120 11.8676 Å, 90.00 90.00 90.00°
Last column: nearest neighbours and their distance in Å.
Space group I4/mmm (No. 139)
One atom of each set of equivalent atoms:
1 Ba 0.0000 0.0000 0.0000 x2  4 Y 4.18, 8 Ba 4.19
2 Ba 0.0000 0.5000 0.2500 x4  8 Ba 4.18-4.19, 4 Y 4.19
3 Y 0.0000 0.0000 0.5000 x2  12 Ba 4.18-4.19

Calculated values
total moment: 0.0 μB per formula unit
calculated volume: 51.85 Å³ per atom
excess energy over the best structure of this formula in the dataset: 15.0 meV/atom


2.
Computed, not measured: a relaxed Ba9In4S10F10 crystal at the GGA-PBE level of DFT.

Cell: 12.6772 19.5661 12.6842 Å, 90.00 90.00 90.00°
Last column: nearest neighbours and their distance in Å.
Space group Pnma (No. 62)
One atom of each set of equivalent atoms:
1 Ba 0.1189 0.0757 0.2498 x8  4 F 2.68-2.73
2 Ba 0.1216 0.5771 0.0030 x8  4 F 2.66-2.71
3 Ba 0.1239 0.2500 0.0027 x4  2 F 2.56
4 Ba 0.1285 0.5758 0.5062 x8  4 F 2.66-2.76
5 Ba 0.1308 0.0758 0.7566 x8  4 F 2.67-2.75
6 In 0.0203 0.2500 0.6039 x4  4 S 2.47-2.67
7 In 0.0808 0.7500 0.7057 x4  4 S 2.43-2.55
8 In 0.1748 0.7500 0.1980 x4  4 S 2.44-2.52
9 In 0.2042 0.2500 0.4181 x4  4 S 2.46-2.54
10 S 0.1060 0.6424 0.2668 x8  1 In 2.44
11 S 0.1143 0.2500 0.2463 x4  2 In 2.46-2.55
12 S 0.1197 0.1476 0.5070 x8  2 In 2.54-2.67
13 S 0.1220 0.7500 0.0067 x4  2 In 2.47-2.52
14 S 0.1349 0.7500 0.5138 x4  2 In 2.47-2.53
15 S 0.1372 0.6368 0.7613 x8  1 In 2.43
16 S 0.1382 0.2500 0.7599 x4  2 In 2.48-2.50
17 F 0.0030 0.0005 0.8765 x8  4 Ba 2.66-2.68
18 F 0.0029 0.0016 0.6243 x8  4 Ba 2.66-2.76
19 F 0.1235 0.1193 0.0003 x8  1 Ba 2.56
20 F 0.2454 0.5025 0.1287 x8  4 Ba 2.67-2.70
21 F 0.2465 0.0020 0.3805 x8  4 Ba 2.66-2.73

Calculated values
total moment: 0.0 μB per formula unit
calculated volume: 23.84 Å³ per atom
corrected total energy (MP2020 scheme): -715.2 eV per cell


3.
Computed, not measured: a relaxed ScNi2 crystal at the GGA-PBE level of DFT.

Cell: 6.8794 6.8794 6.8794 Å, 90.00 90.00 90.00°
Last column: nearest neighbours and their distance in Å.
Space group Fd-3m (No. 227, origin choice 2)
One atom of each set of equivalent atoms:
1 Sc 0.1250 0.1250 0.1250 x8  12 Ni 2.85, 4 Sc 2.98
2 Ni 0.0000 0.0000 0.5000 x16  6 Ni 2.43

Calculated values
calculated volume: 13.57 Å³ per atom


4.
Computed, not measured: a relaxed SiPd3 crystal at the GGA-PBE level of DFT.

Cell: 5.8599 7.6311 5.3420 Å, 90.00 90.00 90.00°
Last column: nearest neighbours and their distance in Å.
Space group Pnma (No. 62)
One atom of each set of equivalent atoms:
1 Si 0.1041 0.2500 0.0303 x4  8 Pd 2.38-2.60
2 Pd 0.0067 0.7500 0.4026 x4  2 Si 2.38-2.40
3 Pd 0.1796 0.5518 0.8219 x8  3 Si 2.38-2.60

Calculated values
calculated volume: 14.93 Å³ per atom


5.
Computed, not measured: a relaxed AgPd crystal at the GGA-PBE level of DFT.

Cell: 2.8590 2.8590 4.7001 Å, 90.00 90.00 120.00°
Last column: nearest neighbours and their distance in Å.
Space group P-6m2 (No. 187)
One atom of each set of equivalent atoms:
1 Ag 0.0000 0.0000 0.0000 x1  6 Ag 2.86, 6 Pd 2.87
2 Pd 0.6667 0.3333 0.5000 x1  6 Pd 2.86, 6 Ag 2.87

Calculated values
calculated volume: 16.64 Å³ per atom


6.
Computed, not measured: a relaxed SmFe10Si2 crystal at the GGA-PBE level of DFT.

Cell: 4.7944 11.6603 11.8176 Å, 90.00 90.00 90.00°
Last column: nearest neighbours and their distance in Å.
Space group Fmmm (No. 69)
One atom of each set of equivalent atoms:
1 Sm 0.0000 0.0000 0.0000 x4  16 Fe 2.99-3.19, 4 Si 3.15
2 Fe 0.0000 0.1136 0.3874 x16  2 Si 2.40, 8 Fe 2.41-2.66
3 Fe 0.0000 0.1821 0.1779 x16  5 Fe 2.33-2.60, 2 Si 2.55
4 Fe 0.2500 0.0000 0.2500 x8  10 Fe 2.40-2.58
5 Si 0.2500 0.2500 0.0000 x8  8 Fe 2.40-2.55, 2 Si 2.40

Calculated values
total moment: 19.8 μB per formula unit
calculated volume: 12.70 Å³ per atom
corrected total energy (MP2020 scheme): -408.5 eV per cell


| no. | energy of formation from the pure elements (meV per atom) |
| --- | --- |
| 1 | 230 |
| 2 | -2728 |
| 3 | -521 |
| 4 | -607 |
| 5 | -45 |
| 6 | -143 |